Entry 1:
Here is a geometry-optimized Sr3W2N4 structure from the Materials Project database. Energies are from PBE.

```
Sr3W2N4
1.0
5.922 -4.480 0.000
5.922 4.480 0.000
-0.130 0.000 5.757
Sr W N
6 4 8
direct
0.103 0.897 0.750
0.254 0.512 0.476
0.488 0.746 0.024
0.512 0.254 0.976
0.746 0.488 0.524
0.897 0.103 0.250
0.073 0.327 0.906
0.327 0.073 0.406
0.673 0.927 0.594
0.927 0.673 0.094
0.109 0.232 0.583
0.195 0.541 0.991
0.232 0.109 0.083
0.459 0.805 0.509
0.541 0.195 0.491
0.768 0.891 0.917
0.805 0.459 0.009
0.891 0.768 0.417
```

Summary:
As for the space-group type: C2/c, No. 15. The value obtained for the size of the total moment is 0.001 μB per formula unit. The calculation puts the energy relative to the lowest polymorph listed for this composition at 148 meV/atom. For the raw total energy, the calculation gives -67.95 eV per formula unit. The value obtained for the formation energy is -0.562 eV per atom.

=====

Entry 2:
Here is a geometry-optimized Sn4As3 structure from the Materials Project database. Energies are from PBE.

```
Sn4As3
1.0
2.079 1.200 12.207
-2.079 1.200 12.207
0.000 -2.401 12.207
Sn As
4 3
direct
0.135 0.135 0.135
0.289 0.289 0.289
0.711 0.711 0.711
0.865 0.865 0.865
0.000 0.000 0.000
0.430 0.430 0.430
0.570 0.570 0.570
```

Summary:
As for the space-group type: R-3m, No. 166. The calculation puts the energy relative to the lowest polymorph listed for this composition at 0 meV/atom. For the raw total energy, the calculation gives -30.65 eV per formula unit. The value obtained for the formation energy is -0.091 eV per atom.

=====

Entry 3:
Here is a geometry-optimized YCuSi structure from the Materials Project database. Energies are from PBE.

```
YCuSi
1.0
4.147 0.000 0.000
-2.074 3.592 0.000
0.000 0.000 7.516
Y Cu Si
2 2 2
direct
0.000 0.000 0.000
0.000 0.000 0.500
0.333 0.667 0.250
0.667 0.333 0.750
0.333 0.667 0.750
0.667 0.333 0.250
```

Summary:
As for the space-group type: P6_3/mmc, No. 194. For the raw total energy, the calculation gives -18.03 eV per formula unit. The value obtained for the formation energy is -0.657 eV per atom.